Record 1
Density functional theory data (PBE) for a geometry-optimized NaTiO2 structure.

Computed properties:
Calculated formation energy, meV/atom: -2788
Crystal system: trigonal
E (MP2020), eV/atom: -7.5661
Calculated total energy, eV per atom: -7.22

a b c (Å): 5.7651 5.7651 5.7651
angles (deg): 30.55 30.55 30.55
Last column: nearest neighbours and their distance in Å.
Fractional coordinates of all 4 atoms:
Na  0.0000  0.0000  0.0000  6 O 2.39
Ti  0.5000  0.5000  0.5000  6 O 2.09
O  0.2352  0.2352  0.2352  3 Ti 2.09
O  0.7648  0.7648  0.7648  3 Ti 2.09

---

Record 2
Density functional theory data (PBE) for a geometry-optimized Na6Ti2O7 structure.

Computed properties:
Calculated formation energy, meV/atom: -2482
Crystal system: monoclinic
E (MP2020), eV/atom: -6.3727
Excess energy over the best structure of this formula in the dataset, eV per formula unit: 1.12
Magnetization, μB per formula unit: 0.000
Calculated total energy, eV per atom: -6.05

a b c (Å): 8.4783 8.4783 11.1793
angles (deg): 103.09 103.09 72.32
Last column: nearest neighbours and their distance in Å.
Fractional coordinates of all 45 atoms:
Na  0.0247  0.3365  0.8840  3 O 2.34-2.40
Na  0.1286  0.4359  0.3797  4 O 2.30-2.36
Na  0.1295  0.8064  0.6182  3 O 2.27-2.31
Na  0.1936  0.8705  0.3818  3 O 2.27-2.31
Na  0.2513  0.5786  0.8795  4 O 2.28-2.51
Na  0.3365  0.0247  0.8840  3 O 2.34-2.40
Na  0.4214  0.7487  0.1205  4 O 2.28-2.51
Na  0.4359  0.1286  0.3797  4 O 2.30-2.36
Na  0.4596  0.4596  0.6218  2 O 2.13-2.16
Na  0.5404  0.5404  0.3782  2 O 2.13-2.16
Na  0.5641  0.8714  0.6203  4 O 2.30-2.36
Na  0.5786  0.2513  0.8795  4 O 2.28-2.51
Na  0.6635  0.9753  0.1160  3 O 2.34-2.40
Na  0.7487  0.4214  0.1205  4 O 2.28-2.51
Na  0.8064  0.1295  0.6182  3 O 2.27-2.31
Na  0.8705  0.1936  0.3818  3 O 2.27-2.31
Na  0.8714  0.5641  0.6203  4 O 2.30-2.36
Na  0.9753  0.6635  0.1160  3 O 2.34-2.40
Ti  0.1118  0.1118  0.1398  4 O 1.80-1.89
Ti  0.2064  0.2064  0.6282  4 O 1.83-1.85
Ti  0.3551  0.3551  0.1291  4 O 1.82-1.90
Ti  0.6449  0.6449  0.8709  4 O 1.82-1.90
Ti  0.7936  0.7936  0.3718  4 O 1.83-1.85
Ti  0.8882  0.8882  0.8602  4 O 1.80-1.89
O  0.0000  0.0000  0.0000  2 Ti 1.86
O  0.0257  0.7241  0.4115  1 Ti 1.85
O  0.0272  0.7356  0.7634  1 Ti 1.80
O  0.2121  0.2121  0.0537  2 Ti 1.89-1.90
O  0.2535  0.5594  0.0826  1 Ti 1.82
O  0.2644  0.9728  0.2366  1 Ti 1.80
O  0.2736  0.2736  0.7969  1 Ti 1.85
O  0.2759  0.9743  0.5885  1 Ti 1.85
O  0.2994  0.2994  0.5387  1 Ti 1.83
O  0.3772  0.3772  0.2972  1 Ti 1.82
O  0.4406  0.7465  0.9174  1 Ti 1.82
O  0.5594  0.2535  0.0826  1 Ti 1.82
O  0.6228  0.6228  0.7028  1 Ti 1.82
O  0.7006  0.7006  0.4613  1 Ti 1.83
O  0.7241  0.0257  0.4115  1 Ti 1.85
O  0.7264  0.7264  0.2031  1 Ti 1.85
O  0.7356  0.0272  0.7634  1 Ti 1.80
O  0.7465  0.4406  0.9174  1 Ti 1.82
O  0.7879  0.7879  0.9463  2 Ti 1.89-1.90
O  0.9728  0.2644  0.2366  1 Ti 1.80
O  0.9743  0.2759  0.5885  1 Ti 1.85

---

Record 3
Density functional theory data (PBE) for a geometry-optimized NaTi8O13 structure.

Computed properties:
Calculated formation energy, meV/atom: -3246
Crystal system: trigonal
E (MP2020), eV/atom: -9.1014
Calculated total energy, eV per atom: -8.70

a b c (Å): 6.4966 6.4966 6.4966
angles (deg): 73.51 73.51 73.51
Last column: nearest neighbours and their distance in Å.
Fractional coordinates of all 22 atoms:
Na  0.0000  0.0000  0.0000  12 O 2.78-3.07
Ti  0.1835  0.6247  0.4490  6 O 1.95-2.13
Ti  0.2287  0.2287  0.2287  6 O 1.91-2.12
Ti  0.3753  0.5510  0.8165  6 O 1.95-2.13
Ti  0.4490  0.1835  0.6247  6 O 1.95-2.13
Ti  0.5510  0.8165  0.3753  6 O 1.95-2.13
Ti  0.6247  0.4490  0.1835  6 O 1.95-2.13
Ti  0.7713  0.7713  0.7713  6 O 1.91-2.12
Ti  0.8165  0.3753  0.5510  6 O 1.95-2.13
O  0.0786  0.6775  0.7649  3 Ti 1.91-2.07
O  0.1431  0.2941  0.5479  4 Ti 2.03-2.13
O  0.2351  0.9214  0.3225  3 Ti 1.91-2.07
O  0.2941  0.5479  0.1431  4 Ti 2.03-2.13
O  0.3225  0.2351  0.9214  3 Ti 1.91-2.07
O  0.4521  0.8569  0.7059  4 Ti 2.03-2.13
O  0.5000  0.5000  0.5000  6 Ti 2.07
O  0.5479  0.1431  0.2941  4 Ti 2.03-2.13
O  0.6775  0.7649  0.0786  3 Ti 1.91-2.07
O  0.7059  0.4521  0.8569  4 Ti 2.03-2.13
O  0.7649  0.0786  0.6775  3 Ti 1.91-2.07
O  0.8569  0.7059  0.4521  4 Ti 2.03-2.13
O  0.9214  0.3225  0.2351  3 Ti 1.91-2.07

---

Record 4
Density functional theory data (PBE) for a geometry-optimized Na4Ti5O12 structure.

Computed properties:
Calculated formation energy, meV/atom: -3075
Crystal system: monoclinic
E (MP2020), eV/atom: -8.0339
Excess energy over the best structure of this formula in the dataset, eV per formula unit: 0.58
Magnetization, μB per formula unit: 0.001
Calculated total energy, eV per atom: -7.64

a b c (Å): 6.1954 6.1954 14.0554
angles (deg): 100.70 100.70 90.17
Last column: nearest neighbours and their distance in Å.
Fractional coordinates of all 42 atoms:
Na  0.0000  0.0000  0.0000  6 O 2.27-2.53
Na  0.0000  0.0000  0.5000  6 O 2.27-2.53
Na  0.1091  0.8909  0.7500  4 O 2.19
Na  0.1920  0.4634  0.9200  4 O 2.21-2.28
Na  0.4634  0.1920  0.4200  4 O 2.21-2.28
Na  0.5366  0.8080  0.5800  4 O 2.21-2.28
Na  0.8080  0.5366  0.0800  4 O 2.21-2.28
Na  0.8909  0.1091  0.2500  4 O 2.19
Ti  0.0000  0.5000  0.5000  6 O 1.97-2.00
Ti  0.1625  0.6419  0.3367  3 O 1.86-1.96
Ti  0.3389  0.3464  0.6651  5 O 1.89-2.08
Ti  0.3464  0.3389  0.1651  5 O 1.89-2.08
Ti  0.3581  0.8375  0.1633  3 O 1.86-1.96
Ti  0.5000  0.0000  0.0000  6 O 1.97-2.00
Ti  0.6419  0.1625  0.8367  3 O 1.86-1.96
Ti  0.6536  0.6611  0.8349  5 O 1.89-2.08
Ti  0.6611  0.6536  0.3349  5 O 1.89-2.08
Ti  0.8375  0.3581  0.6633  3 O 1.86-1.96
O  0.0512  0.5756  0.6473  2 Ti 1.96-2.00, 1 Na 2.19
O  0.0771  0.1800  0.6802  2 Ti 1.86-1.98
O  0.1508  0.5721  0.1766  1 Ti 1.89
O  0.1800  0.0771  0.1802  2 Ti 1.86-1.98
O  0.2168  0.7078  0.4736  2 Ti 1.86-1.99
O  0.2389  0.2975  0.5274  2 Ti 1.89-1.97
O  0.2922  0.7832  0.0264  2 Ti 1.86-1.99
O  0.2975  0.2389  0.0274  2 Ti 1.89-1.97
O  0.4244  0.9488  0.8527  2 Ti 1.96-2.00, 1 Na 2.19
O  0.4265  0.4272  0.8177  3 Ti 1.97-2.14
O  0.4272  0.4265  0.3177  3 Ti 1.97-2.14
O  0.4279  0.8492  0.3234  1 Ti 1.89
O  0.5721  0.1508  0.6766  1 Ti 1.89
O  0.5728  0.5735  0.6823  3 Ti 1.97-2.14
O  0.5735  0.5728  0.1823  3 Ti 1.97-2.14
O  0.5756  0.0512  0.1473  2 Ti 1.96-2.00, 1 Na 2.19
O  0.7025  0.7611  0.9726  2 Ti 1.89-1.97
O  0.7078  0.2168  0.9736  2 Ti 1.86-1.99
O  0.7611  0.7025  0.4726  2 Ti 1.89-1.97
O  0.7832  0.2922  0.5264  2 Ti 1.86-1.99
O  0.8200  0.9229  0.8198  2 Ti 1.86-1.98
O  0.8492  0.4279  0.8234  1 Ti 1.89
O  0.9229  0.8200  0.3198  2 Ti 1.86-1.98
O  0.9488  0.4244  0.3527  2 Ti 1.96-2.00, 1 Na 2.19

---

Record 5
Density functional theory data (PBE) for a geometry-optimized NaTi2O4 structure.

Computed properties:
Calculated formation energy, meV/atom: -3140
Crystal system: orthorhombic
E (MP2020), eV/atom: -8.4119
Excess energy over the best structure of this formula in the dataset, eV per formula unit: 0.00
Calculated total energy, eV per atom: -8.02

a b c (Å): 9.3458 2.9669 10.8556
angles (deg): 90.00 90.00 90.00
Last column: nearest neighbours and their distance in Å.
Fractional coordinates of all 28 atoms:
Na  0.2428  0.2500  0.1536  8 O 2.39-2.63
Na  0.2572  0.7500  0.6536  8 O 2.39-2.63
Na  0.7428  0.2500  0.3464  8 O 2.39-2.63
Na  0.7572  0.7500  0.8464  8 O 2.39-2.63
Ti  0.0638  0.2500  0.3893  6 O 1.98-2.05
Ti  0.0815  0.2500  0.8969  6 O 2.02-2.03
Ti  0.4185  0.7500  0.3969  6 O 2.02-2.03
Ti  0.4362  0.7500  0.8893  6 O 1.98-2.05
Ti  0.5638  0.2500  0.1107  6 O 1.98-2.05
Ti  0.5815  0.2500  0.6031  6 O 2.02-2.03
Ti  0.9185  0.7500  0.1031  6 O 2.02-2.03
Ti  0.9362  0.7500  0.6107  6 O 1.98-2.05
O  0.0206  0.7500  0.7818  3 Ti 2.02
O  0.0791  0.2500  0.5709  3 Ti 1.98-2.04
O  0.1130  0.7500  0.0214  3 Ti 2.02-2.03
O  0.2086  0.7500  0.3510  3 Ti 2.02-2.05
O  0.2914  0.2500  0.8510  3 Ti 2.02-2.05
O  0.3870  0.2500  0.5214  3 Ti 2.02-2.03
O  0.4209  0.7500  0.0709  3 Ti 1.98-2.04
O  0.4794  0.2500  0.2818  3 Ti 2.02
O  0.5206  0.7500  0.7182  3 Ti 2.02
O  0.5791  0.2500  0.9291  3 Ti 1.98-2.04
O  0.6130  0.7500  0.4786  3 Ti 2.02-2.03
O  0.7086  0.7500  0.1490  3 Ti 2.02-2.05
O  0.7914  0.2500  0.6490  3 Ti 2.02-2.05
O  0.8870  0.2500  0.9786  3 Ti 2.02-2.03
O  0.9209  0.7500  0.4291  3 Ti 1.98-2.04
O  0.9794  0.2500  0.2182  3 Ti 2.02

---

Record 6
Density functional theory data (PBE) for a geometry-optimized Na3Ti6O13 structure.

Computed properties:
Calculated formation energy, meV/atom: -3186
Crystal system: monoclinic
E (MP2020), eV/atom: -8.4435
Magnetization, μB per formula unit: 1.005
Calculated total energy, eV per atom: -8.04

a b c (Å): 7.7161 7.7161 9.5208
angles (deg): 100.58 100.58 28.34
Last column: nearest neighbours and their distance in Å.
Fractional coordinates of all 22 atoms:
Na  0.0000  0.0000  0.0000  4 O 2.64
Na  0.0351  0.0351  0.3223  6 O 2.53-2.67
Na  0.9649  0.9649  0.6777  6 O 2.53-2.67
Ti  0.2797  0.2797  0.7393  4 O 1.79-1.96
Ti  0.3339  0.3339  0.0726  4 O 1.79-1.96
Ti  0.3782  0.3782  0.4081  4 O 1.87-1.97
Ti  0.6218  0.6218  0.5919  4 O 1.87-1.97
Ti  0.6661  0.6661  0.9274  4 O 1.79-1.96
Ti  0.7203  0.7203  0.2607  4 O 1.79-1.96
O  0.1442  0.1442  0.6208  3 Ti 1.93-2.12
O  0.2011  0.2011  0.9260  2 Ti 1.96
O  0.2541  0.2541  0.2493  3 Ti 1.96-2.16
O  0.3404  0.3404  0.5949  2 Ti 1.79-1.97
O  0.3807  0.3807  0.9028  2 Ti 1.88-1.95
O  0.4346  0.4346  0.2092  1 Ti 1.79
O  0.5000  0.5000  0.5000  2 Ti 1.87
O  0.5654  0.5654  0.7908  1 Ti 1.79
O  0.6193  0.6193  0.0972  2 Ti 1.88-1.95
O  0.6596  0.6596  0.4051  2 Ti 1.79-1.97
O  0.7459  0.7459  0.7507  3 Ti 1.96-2.16
O  0.7989  0.7989  0.0740  2 Ti 1.96
O  0.8558  0.8558  0.3792  3 Ti 1.93-2.12